No. 1
Na6Ta4Zn2Si3P6O36: relaxed, PBE.

Geometry as POSCAR:
```
Na6Ta4Zn2Si3P6O36
1.0
7.750 -4.448 0.000
7.750 4.448 0.000
-0.067 0.000 22.500
Na Ta Zn Si P O
12 8 4 6 12 72
Direct
0.001 0.999 0.500
0.026 0.635 0.249
0.041 0.294 0.420
0.294 0.041 0.920
0.325 0.354 0.834
0.354 0.325 0.334
0.364 0.638 0.751
0.635 0.026 0.749
0.638 0.364 0.251
0.662 0.699 0.170
0.699 0.662 0.670
0.999 0.001 0.000
0.005 0.012 0.652
0.012 0.005 0.152
0.338 0.348 0.990
0.348 0.338 0.490
0.667 0.678 0.320
0.670 0.676 0.030
0.676 0.670 0.530
0.678 0.667 0.820
0.008 0.999 0.862
0.332 0.336 0.687
0.336 0.332 0.187
0.999 0.008 0.362
0.048 0.632 0.096
0.054 0.340 0.592
0.340 0.054 0.092
0.381 0.669 0.924
0.632 0.048 0.596
0.669 0.381 0.424
0.010 0.297 0.262
0.010 0.716 0.759
0.295 0.724 0.261
0.297 0.010 0.762
0.342 0.631 0.594
0.386 0.966 0.426
0.631 0.342 0.094
0.674 0.964 0.925
0.716 0.010 0.259
0.724 0.295 0.761
0.964 0.674 0.425
0.966 0.386 0.926
0.023 0.203 0.320
0.028 0.826 0.099
0.034 0.798 0.815
0.040 0.163 0.600
0.119 0.532 0.157
0.120 0.388 0.650
0.138 0.499 0.430
0.148 0.372 0.930
0.158 0.333 0.256
0.163 0.040 0.100
0.167 0.537 0.752
0.170 0.313 0.531
0.176 0.813 0.599
0.178 0.532 0.038
0.185 0.807 0.315
0.199 0.844 0.923
0.203 0.023 0.820
0.205 0.835 0.203
0.206 0.978 0.707
0.208 0.988 0.422
0.313 0.170 0.031
0.313 0.538 0.539
0.333 0.158 0.756
0.333 0.538 0.254
0.372 0.148 0.430
0.374 0.490 0.931
0.381 0.529 0.651
0.388 0.120 0.150
0.479 0.714 0.264
0.484 0.857 0.480
0.485 0.832 0.764
0.490 0.374 0.431
0.494 0.662 0.580
0.495 0.683 0.978
0.499 0.138 0.930
0.500 0.854 0.080
0.501 0.875 0.369
0.506 0.646 0.864
0.529 0.381 0.151
0.532 0.119 0.657
0.532 0.178 0.538
0.537 0.167 0.252
0.538 0.313 0.039
0.538 0.333 0.754
0.646 0.506 0.364
0.649 0.872 0.868
0.659 0.856 0.581
0.662 0.494 0.080
0.683 0.495 0.478
0.688 0.849 0.979
0.710 0.835 0.264
0.714 0.479 0.764
0.798 0.034 0.315
0.807 0.185 0.815
0.813 0.176 0.099
0.826 0.028 0.599
0.829 0.984 0.922
0.832 0.485 0.264
0.835 0.205 0.703
0.835 0.710 0.764
0.838 0.978 0.204
0.844 0.199 0.423
0.849 0.688 0.479
0.854 0.500 0.580
0.856 0.659 0.081
0.857 0.484 0.980
0.872 0.649 0.368
0.875 0.501 0.869
0.978 0.206 0.207
0.978 0.838 0.704
0.984 0.829 0.422
0.988 0.208 0.922
```

Summary:
Energy, eV per atom: -7.408
E_form, meV per atom: -2846
E (MP2020), hartree per atom: -0.2882

=====

No. 2
KNaMg6O7: relaxed, PBE.

Geometry as POSCAR:
```
KNaMg6O7
1.0
4.247 0.000 0.000
0.000 4.247 0.000
0.000 0.000 10.988
K Na Mg O
1 1 6 7
Direct
0.000 0.000 0.000
0.000 0.000 0.521
0.000 0.500 0.317
0.000 0.500 0.709
0.500 0.000 0.317
0.500 0.000 0.709
0.500 0.500 0.118
0.500 0.500 0.530
0.000 0.000 0.320
0.000 0.000 0.742
0.000 0.500 0.134
0.000 0.500 0.511
0.500 0.000 0.134
0.500 0.000 0.511
0.500 0.500 0.716
```

Summary:
ΔE to the lowest computed polymorph, meV/atom: 61
Energy, eV per atom: -5.030
E_form, meV per atom: -2239
E (MP2020), hartree per atom: -0.1966

=====

No. 3
K6ZnS4: relaxed, PBE.

Geometry as POSCAR:
```
K6ZnS4
1.0
9.886 0.000 0.000
-4.943 8.561 0.000
0.000 0.000 7.695
K Zn S
12 2 8
Direct
0.056 0.528 0.000
0.147 0.293 0.320
0.147 0.853 0.320
0.293 0.147 0.820
0.472 0.528 0.000
0.472 0.944 0.000
0.528 0.056 0.500
0.528 0.472 0.500
0.707 0.853 0.320
0.853 0.147 0.820
0.853 0.707 0.820
0.944 0.472 0.500
0.333 0.667 0.615
0.667 0.333 0.115
0.198 0.395 0.713
0.198 0.802 0.713
0.333 0.667 0.298
0.395 0.198 0.213
0.605 0.802 0.713
0.667 0.333 0.798
0.802 0.198 0.213
0.802 0.605 0.213
```

Summary:
Energy, eV per atom: -3.292
E_form, meV per atom: -1250
E (MP2020), hartree per atom: -0.1277